[1]
4
Lattice="2.726 0.000 0.000 -1.363 2.361 0.000 0.000 0.000 8.652" Properties=species:S:1:pos:R:3 comment="VRu3 (GGA-PBE, optimized geometry)" formation_energy_ev_per_atom=-0.01 vol_a3_per_fu=55.7 pbc="T T T"
V 0.000 0.000 0.000
Ru 0.000 0.000 4.326
Ru 0.000 1.574 2.159
Ru 0.000 1.574 6.493

[2]
4
Lattice="4.941 0.000 0.000 0.000 4.941 0.000 0.000 0.000 4.941" Properties=species:S:1:pos:R:3 comment="Sm3In (GGA-PBE, optimized geometry)" de_polymorph_kj_per_mol_fu=0 formation_energy_ev_per_atom=-0.27 vol_a3_per_fu=120.6 pbc="T T T"
Sm 0.000 0.000 2.470
Sm 0.000 2.470 0.000
Sm 2.470 0.000 0.000
In 2.470 2.470 2.470

[3]
40
Lattice="5.757 0.000 0.000 0.000 26.368 0.000 -2.612 0.000 6.526" Properties=species:S:1:pos:R:3 comment="BaZnSe2O6 (GGA-PBE, optimized geometry)" de_polymorph_kj_per_mol_fu=256 formation_energy_ev_per_atom=-1.65 vol_a3_per_fu=247.7 energy_mp2020_ev_per_atom=-5.637 pbc="T T T"
Ba -0.613 3.692 2.889
Ba -1.919 9.492 6.152
Ba 5.064 16.876 0.374
Ba 3.758 22.676 3.637
Zn 0.272 13.816 3.476
Zn 1.578 25.737 0.213
Zn 1.568 0.632 6.313
Zn 2.874 12.552 3.050
Se -0.339 16.385 4.950
Se 0.967 23.168 1.687
Se 1.641 14.005 0.976
Se 0.335 25.548 4.238
Se 2.811 0.821 2.287
Se 1.505 12.364 5.550
Se 2.178 3.201 4.838
Se 3.484 9.984 1.576
O -1.743 17.331 4.840
O -0.437 22.221 1.577
O 0.558 15.018 1.960
O -0.747 24.534 5.223
O 1.211 0.790 1.547
O -0.095 12.394 4.810
O -0.181 0.649 5.141
O 1.124 12.535 1.878
O 2.335 16.095 0.180
O 1.029 23.457 3.443
O 0.836 4.221 4.994
O 2.142 8.963 1.731
O 1.004 17.405 4.795
O 2.309 22.148 1.532
O 2.116 2.911 3.083
O 0.810 10.273 6.346
O 2.021 13.833 4.647
O 3.327 25.719 1.385
O 3.241 13.975 1.716
O 1.935 25.578 4.979
O 3.893 1.834 1.303
O 2.587 11.350 4.566
O 3.583 4.147 4.948
O 4.888 9.037 1.686

[4]
28
Lattice="13.599 0.000 0.000 0.000 7.918 0.000 0.000 0.000 6.345" Properties=species:S:1:pos:R:3 comment="Y2ZnS4 (GGA-PBE, optimized geometry)" de_polymorph_kj_per_mol_fu=0 formation_energy_ev_per_atom=-1.99 vol_a3_per_fu=170.8 energy_mp2020_ev_per_atom=-6.379 pbc="T T T"
Y 0.000 0.000 0.000
Y 0.000 3.959 0.000
Y 3.184 1.979 3.155
Y 3.615 5.938 6.328
Y 6.799 0.000 3.173
Y 6.799 3.959 3.173
Y 9.984 1.979 0.018
Y 10.414 5.938 3.190
Zn 1.258 5.938 2.608
Zn 5.541 1.979 5.781
Zn 8.057 5.938 0.564
Zn 12.341 1.979 3.737
S 0.935 1.979 4.713
S 1.240 5.938 4.915
S 2.280 4.069 1.553
S 2.280 7.808 1.553
S 4.520 0.110 4.726
S 4.520 3.849 4.726
S 5.559 1.979 1.742
S 5.865 5.938 1.541
S 7.734 1.979 4.804
S 8.039 5.938 4.603
S 9.079 4.069 1.619
S 9.079 7.808 1.619
S 11.319 0.110 4.792
S 11.319 3.849 4.792
S 12.359 1.979 1.430
S 12.664 5.938 1.632

[5]
30
Lattice="6.126 -3.541 0.000 6.126 3.541 0.000 -4.078 0.000 9.518" Properties=species:S:1:pos:R:3 comment="Rb2NaAl6F21 (GGA-PBE, optimized geometry)" formation_energy_ev_per_atom=-3.74 vol_a3_per_fu=412.9 energy_mp2020_ev_per_atom=-5.937 pbc="T T T"
Rb 0.003 0.000 3.869
Rb 8.171 0.000 5.649
Na 4.087 0.109 4.759
Al 3.054 1.932 1.808
Al 2.044 0.184 7.702
Al 5.120 1.932 7.709
Al 6.129 0.184 1.816
Al 3.068 -1.613 1.829
Al 5.106 -1.613 7.689
F 3.194 1.882 3.564
F -1.522 0.163 7.728
F 0.748 1.473 7.889
F 4.829 1.474 1.606
F 2.555 0.158 1.771
F 2.065 0.409 5.947
F 3.344 1.474 7.912
F 4.980 1.882 5.954
F 7.425 1.473 1.629
F 3.242 -1.564 0.007
F 0.771 -1.139 7.577
F 6.126 -0.042 0.000
F 6.108 0.409 3.570
F 2.946 -1.613 3.597
F 4.846 -1.137 1.953
F 3.327 -1.137 7.565
F 5.618 0.158 7.747
F 9.695 0.163 1.790
F 7.402 -1.139 1.941
F 5.227 -1.613 5.920
F 4.931 -1.564 9.511

[6]
18
Lattice="-4.132 5.958 3.169 4.132 -5.958 3.169 4.132 5.958 -3.169" Properties=species:S:1:pos:R:3 comment="Sc3Ga5Co (GGA-PBE, optimized geometry)" formation_energy_ev_per_atom=-0.58 vol_a3_per_fu=156.0 pbc="T T T"
Sc -2.066 5.953 3.169
Sc 6.198 0.006 0.000
Sc 2.066 -2.612 2.115
Sc 2.066 3.388 -1.033
Sc 2.066 8.571 -1.054
Sc 2.066 2.570 2.135
Ga 0.006 1.838 0.353
Ga 4.126 1.838 0.353
Ga 2.066 -0.036 3.204
Ga 2.066 5.995 0.035
Ga 0.020 4.429 0.903
Ga 4.112 4.429 0.903
Ga -0.020 7.487 0.903
Ga 0.020 1.529 4.071
Ga -0.006 10.079 0.353
Ga 0.006 4.120 3.522
Co 0.000 0.000 1.982
Co 4.132 0.000 1.982

[7]
13
Lattice="5.006 -2.211 0.000 5.006 2.211 0.000 -1.038 0.000 6.950" Properties=species:S:1:pos:R:3 comment="Sc6N2O5 (GGA-PBE, optimized geometry)" de_polymorph_kj_per_mol_fu=0 formation_energy_ev_per_atom=-3.14 vol_a3_per_fu=153.9 energy_mp2020_ev_per_atom=-9.245 pbc="T T T"
Sc 0.424 0.000 1.502
Sc 1.421 0.000 4.438
Sc 3.465 0.000 0.536
Sc 5.508 0.000 6.414
Sc 7.552 0.000 2.512
Sc 8.550 0.000 5.448
N 0.465 0.000 6.432
N 8.509 0.000 0.518
O -0.519 0.000 3.475
O 2.365 0.000 2.464
O 3.401 0.000 5.536
O 5.572 0.000 1.415
O 6.608 0.000 4.486

[8]
136
Lattice="11.485 0.000 0.000 0.000 8.963 0.000 0.000 0.000 14.655" Properties=species:S:1:pos:R:3 comment="LiB3H3SeO9 (GGA-PBE, optimized geometry)" formation_energy_ev_per_atom=-1.98 vol_a3_per_fu=188.6 energy_mp2020_ev_per_atom=-6.697 pbc="T T T"
Li 0.000 8.963 3.664
Li 0.000 0.000 10.992
Li 0.000 2.916 3.664
Li 0.000 6.047 10.992
Li 5.742 1.565 10.992
Li 5.742 4.481 3.664
Li 5.742 4.482 10.992
Li 5.742 7.398 3.664
B 1.647 0.311 8.424
B 1.647 8.652 1.096
B 1.685 4.088 1.220
B 1.685 4.875 8.548
B 2.749 3.742 6.609
B 2.749 5.221 13.937
B 2.993 0.739 13.937
B 2.993 8.224 6.609
B 4.057 0.394 8.548
B 4.057 8.570 1.220
B 4.095 4.171 1.096
B 4.095 4.793 8.424
B 7.389 4.171 6.231
B 7.389 4.793 13.559
B 7.427 0.394 13.435
B 7.427 8.570 6.108
B 8.492 0.739 8.046
B 8.492 8.224 0.719
B 8.735 3.742 0.719
B 8.735 5.221 8.046
B 9.799 4.088 6.108
B 9.799 4.875 13.435
B 9.837 0.311 13.559
B 9.837 8.652 6.231
H 0.234 3.874 6.060
H 0.234 5.089 13.388
H 0.340 0.502 13.526
H 0.340 8.462 6.199
H 2.166 2.138 10.048
H 2.166 6.826 2.720
H 3.576 2.344 2.720
H 3.576 6.619 10.048
H 5.402 3.980 6.199
H 5.402 4.983 13.526
H 5.508 0.608 13.388
H 5.508 8.356 6.060
H 5.976 0.608 8.595
H 5.976 8.356 1.267
H 6.082 3.980 1.129
H 6.082 4.983 8.457
H 7.908 2.344 4.607
H 7.908 6.619 11.935
H 9.318 2.138 11.935
H 9.318 6.826 4.607
H 11.145 0.502 8.457
H 11.145 8.462 1.129
H 11.250 3.874 1.267
H 11.250 5.089 8.595
Se 2.819 1.522 4.769
Se 2.819 7.441 12.096
Se 2.924 2.959 12.096
Se 2.924 6.004 4.769
Se 8.561 2.959 9.887
Se 8.561 6.004 2.559
Se 8.666 1.522 2.559
Se 8.666 7.441 9.887
O 0.460 0.613 9.049
O 0.460 8.351 1.721
O 0.539 3.662 1.849
O 0.539 5.301 9.177
O 1.269 1.485 4.156
O 1.269 7.479 11.484
O 1.593 4.192 7.367
O 1.593 4.771 0.039
O 1.706 0.369 14.560
O 1.706 8.595 7.232
O 1.815 2.935 10.537
O 1.815 6.028 3.209
O 2.635 2.275 6.496
O 2.635 6.689 13.823
O 2.661 4.299 5.183
O 2.661 4.664 12.510
O 2.806 0.710 9.092
O 2.806 8.253 1.764
O 2.937 3.772 1.764
O 2.937 5.191 9.092
O 3.081 0.183 12.510
O 3.081 8.781 5.183
O 3.107 2.207 13.823
O 3.107 6.756 6.496
O 3.927 1.546 3.209
O 3.927 7.417 10.537
O 4.037 4.113 7.232
O 4.037 4.850 14.560
O 4.149 0.289 0.039
O 4.149 8.674 7.367
O 4.474 2.997 11.484
O 4.474 5.966 4.156
O 5.203 0.819 9.177
O 5.203 8.144 1.849
O 5.283 3.869 1.721
O 5.283 5.094 9.049
O 6.202 3.869 5.606
O 6.202 5.094 12.934
O 6.281 0.819 12.806
O 6.281 8.144 5.479
O 7.011 2.997 10.499
O 7.011 5.966 3.171
O 7.336 0.289 7.288
O 7.336 8.674 14.616
O 7.448 4.113 0.095
O 7.448 4.850 7.423
O 7.557 1.546 4.119
O 7.557 7.417 11.447
O 8.378 2.207 8.160
O 8.378 6.756 0.832
O 8.404 0.183 9.473
O 8.404 8.781 2.145
O 8.548 3.772 5.564
O 8.548 5.191 12.891
O 8.679 0.710 12.891
O 8.679 8.253 5.564
O 8.823 4.299 2.145
O 8.823 4.664 9.473
O 8.849 2.275 0.832
O 8.849 6.689 8.160
O 9.670 2.935 11.447
O 9.670 6.028 4.119
O 9.779 0.369 7.423
O 9.779 8.595 0.095
O 9.891 4.192 14.616
O 9.891 4.771 7.288
O 10.216 1.485 3.171
O 10.216 7.479 10.499
O 10.946 3.662 5.479
O 10.946 5.301 12.806
O 11.025 0.613 12.934
O 11.025 8.351 5.606

[9]
4
Lattice="2.170 1.253 5.161 -2.170 1.253 5.161 0.000 -2.506 5.161" Properties=species:S:1:pos:R:3 comment="BaCN2 (GGA-PBE, optimized geometry)" formation_energy_ev_per_atom=-0.98 vol_a3_per_fu=84.2 energy_mp2020_ev_per_atom=-7.930 pbc="T T T"
Ba 0.000 0.000 0.000
C 0.000 0.000 7.741
N 0.000 0.000 6.499
N 0.000 0.000 8.983

[10]
10
Lattice="8.418 0.000 0.000 0.000 8.418 0.000 0.000 0.000 5.000" Properties=species:S:1:pos:R:3 comment="Sr2Pb3 (GGA-PBE, optimized geometry)" formation_energy_ev_per_atom=-0.45 vol_a3_per_fu=177.2 pbc="T T T"
Sr 1.457 2.752 0.000
Sr 2.752 6.961 0.000
Sr 5.666 1.457 0.000
Sr 6.961 5.666 0.000
Pb 0.000 0.000 2.500
Pb 1.085 5.294 2.500
Pb 3.124 1.085 2.500
Pb 4.209 4.209 2.500
Pb 5.294 7.333 2.500
Pb 7.333 3.124 2.500

[11]
10
Lattice="0.000 3.974 3.974 3.974 0.000 3.974 3.974 3.974 0.000" Properties=species:S:1:pos:R:3 comment="InN3F6 (GGA-PBE, optimized geometry)" formation_energy_ev_per_atom=0.14 vol_a3_per_fu=125.6 energy_mp2020_ev_per_atom=-3.787 pbc="T T T"
In 0.000 0.000 0.000
N 1.987 1.987 1.987
N 3.974 3.974 3.974
N 5.962 5.962 5.962
F 3.974 3.974 2.140
F 3.974 2.140 3.974
F 5.808 3.974 3.974
F 2.140 3.974 3.974
F 3.974 5.808 3.974
F 3.974 3.974 5.808

[12]
3
Lattice="0.000 3.665 3.665 3.665 0.000 3.665 3.665 3.665 0.000" Properties=species:S:1:pos:R:3 comment="Na2Te (GGA-PBE, optimized geometry)" formation_energy_ev_per_atom=-1.07 vol_a3_per_fu=98.5 energy_mp2020_ev_per_atom=-2.999 pbc="T T T"
Na 1.833 1.833 1.833
Na 5.498 5.498 5.498
Te 0.000 0.000 0.000

Number 7 is which compound? Sc6N2O5

Which formula does entry 10 have? Sr2Pb3